Computed, not measured: a geometry-optimized BiI3 structure at the PBE-GGA level of DFT.

Results
E (MP2020) = -2.88 eV/atom
symmetry = P-31m
crystal system = trigonal
calculated formation energy = -766 meV per atom

a = 7.8292 Å, b = 7.8292 Å, c = 7.9187 Å
α = 90.00°, β = 90.00°, γ = 120.00°
Sites, in units of the cell vectors:
Bi1 0.3333 0.6667 0.0000
Bi2 0.6667 0.3333 0.0000
I1 0.0000 0.3554 0.7695
I2 0.0000 0.6446 0.2305
I3 0.3554 0.0000 0.7695
I4 0.3554 0.3554 0.2305
I5 0.6446 0.0000 0.2305
I6 0.6446 0.6446 0.7695

---

Computed, not measured: a geometry-optimized BiI3 structure at the PBE-GGA level of DFT.

Results
E (MP2020) = -2.88 eV/atom
symmetry = R-3
crystal system = trigonal
calculated formation energy = -766 meV per atom

a = 8.9263 Å, b = 8.9263 Å, c = 8.9263 Å
α = 52.06°, β = 52.06°, γ = 52.06°
Sites, in units of the cell vectors:
Bi1 0.1668 0.1668 0.1668
Bi2 0.8332 0.8332 0.8332
I1 0.0644 0.4237 0.7750
I2 0.2250 0.9356 0.5763
I3 0.4237 0.7750 0.0644
I4 0.5763 0.2250 0.9356
I5 0.7750 0.0644 0.4237
I6 0.9356 0.5763 0.2250

---

Computed, not measured: a geometry-optimized BiI3 structure at the PBE-GGA level of DFT.

Results
E (MP2020) = -2.86 eV/atom
symmetry = Pnma
crystal system = orthorhombic
calculated formation energy = -740 meV per atom

a = 7.8159 Å, b = 15.2301 Å, c = 7.7827 Å
α = 90.00°, β = 90.00°, γ = 90.00°
Sites, in units of the cell vectors:
Bi1 0.1080 0.2500 0.2428
Bi2 0.3920 0.7500 0.7428
Bi3 0.6080 0.2500 0.2572
Bi4 0.8920 0.7500 0.7572
I1 0.1370 0.7500 0.4364
I2 0.1531 0.6104 0.8992
I3 0.1531 0.8896 0.8992
I4 0.3469 0.1104 0.3992
I5 0.3469 0.3896 0.3992
I6 0.3630 0.2500 0.9364
I7 0.6370 0.7500 0.0636
I8 0.6531 0.6104 0.6008
I9 0.6531 0.8896 0.6008
I10 0.8469 0.1104 0.1008
I11 0.8469 0.3896 0.1008
I12 0.8630 0.2500 0.5636

---

Computed, not measured: a geometry-optimized BiI structure at the PBE-GGA level of DFT.

Results
E (MP2020) = -3.19 eV/atom
symmetry = C2/m
crystal system = monoclinic
calculated formation energy = -484 meV per atom

a = 15.6162 Å, b = 4.4184 Å, c = 11.0397 Å
α = 90.00°, β = 106.31°, γ = 90.00°
Sites, in units of the cell vectors:
Bi1 0.1803 0.0000 0.4883
Bi2 0.1993 0.0000 0.7754
Bi3 0.3007 0.5000 0.2246
Bi4 0.3197 0.5000 0.5117
Bi5 0.6803 0.5000 0.4883
Bi6 0.6993 0.5000 0.7754
Bi7 0.8007 0.0000 0.2246
Bi8 0.8197 0.0000 0.5117
I1 0.0512 0.5000 0.7193
I2 0.1534 0.0000 0.1291
I3 0.3466 0.5000 0.8709
I4 0.4488 0.0000 0.2807
I5 0.5512 0.0000 0.7193
I6 0.6534 0.5000 0.1291
I7 0.8466 0.0000 0.8709
I8 0.9488 0.5000 0.2807

---

> E (MP2020) of number 2 (BiI3)?

-2.88 eV/atom

---

> Number 3 is which compound?

BiI3